# Rb5Tl9

Crystalline Rb5Tl9 at its relaxed geometry (r2SCAN, the Materials Project database).

Calculated values
formation enthalpy at 0 K = -166 meV/atom

Cell lengths 10.4383, 10.4383, 17.8415 Å; angles 90.00, 90.00, 120.00 degrees
With the nearest neighbours (Å) after each atom.
Sites, in units of the cell vectors:
Tl: 0.0000 0.6205 0.6018  7 Tl 3.25-3.63
Tl: 0.7102 0.5371 0.5000  9 Tl 3.13-3.50
Tl: 0.0000 0.0000 0.1488  6 Tl 3.12-3.47
Tl: 0.3333 0.6667 0.3455  6 Tl 3.37-3.40
Tl: 0.0000 0.2821 0.0910  4 Tl 3.12-3.25
Tl: 0.0000 0.2821 0.9090  4 Tl 3.12-3.25
Tl: 0.0000 0.0000 0.8512  6 Tl 3.12-3.47
Tl: 0.2821 0.0000 0.9089  4 Tl 3.12-3.25
Tl: 0.2898 0.8269 0.5000  9 Tl 3.13-3.50
Tl: 0.3333 0.6667 0.6545  6 Tl 3.37-3.40
Tl: 0.6667 0.3333 0.3455  6 Tl 3.37-3.40
Tl: 0.2821 0.0000 0.0911  4 Tl 3.12-3.25
Tl: 0.5371 0.7102 0.5000  9 Tl 3.13-3.50
Tl: 0.7179 0.7179 0.9090  4 Tl 3.12-3.25
Tl: 0.3795 0.3795 0.3982  7 Tl 3.25-3.63
Tl: 0.7862 0.0000 0.0000  6 Tl 3.12-3.47
Tl: 0.6205 0.0000 0.3982  7 Tl 3.25-3.63
Tl: 0.2138 0.2138 0.0000  6 Tl 3.12-3.47
Tl: 0.0000 0.6205 0.3982  7 Tl 3.25-3.63
Tl: 0.3795 0.3795 0.6018  7 Tl 3.25-3.63
Tl: 0.8269 0.2898 0.5000  9 Tl 3.13-3.50
Tl: 0.6667 0.3333 0.6545  6 Tl 3.37-3.40
Tl: 0.4629 0.1731 0.5000  9 Tl 3.13-3.50
Tl: 0.1731 0.4629 0.5000  9 Tl 3.13-3.50
Tl: 0.0000 0.7862 0.0000  6 Tl 3.12-3.47
Tl: 0.7179 0.7179 0.0910  4 Tl 3.12-3.25
Tl: 0.6205 0.0000 0.6018  7 Tl 3.25-3.63
Rb: 0.0000 0.2734 0.3144  9 Tl 3.82-4.11, 3 Rb 4.23-4.27
Rb: 0.6130 0.0000 0.8148  6 Tl 3.77-4.09
Rb: 0.0000 0.6130 0.8148  6 Tl 3.77-4.09
Rb: 0.7266 0.7266 0.3144  9 Tl 3.82-4.11, 3 Rb 4.23-4.27
Rb: 0.6667 0.3333 0.0000  9 Tl 4.11-4.24
Rb: 0.3870 0.3870 0.8148  6 Tl 3.77-4.09
Rb: 0.2733 0.0000 0.3144  9 Tl 3.82-4.11, 3 Rb 4.23-4.27
Rb: 0.3870 0.3870 0.1852  6 Tl 3.77-4.09
Rb: 0.3334 0.6667 0.0000  9 Tl 4.11-4.24
Rb: 0.0000 0.0000 0.5000  12 Tl 4.23-4.36, 6 Rb 4.37
Rb: 0.0000 0.6130 0.1852  6 Tl 3.77-4.09
Rb: 0.6130 0.0000 0.1852  6 Tl 3.77-4.09
Rb: 0.2733 0.0000 0.6856  9 Tl 3.82-4.11, 3 Rb 4.23-4.27
Rb: 0.7266 0.7266 0.6856  9 Tl 3.82-4.11, 3 Rb 4.23-4.27
Rb: 0.0000 0.2734 0.6856  9 Tl 3.82-4.11, 3 Rb 4.23-4.27